# 1
# Ta3Cr8Si8 | the Materials Project | GGA-PBE | relaxed
# * energy: -8.630 eV/atom
data_Ta3Cr8Si8
_space_group_name_H-M_alt 'P n m a'
_space_group_IT_number 62
_cell_length_a 13.088
_cell_length_b 4.812
_cell_length_c 15.670
_cell_angle_alpha 90.00
_cell_angle_beta 90.00
_cell_angle_gamma 90.00
loop_
_space_group_symop_operation_xyz
'x,y,z'
'-x,-y,-z'
'-x+1/2,-y,z+1/2'
'x+1/2,y,-z+1/2'
'x+1/2,-y+1/2,-z+1/2'
'-x+1/2,y+1/2,z+1/2'
'-x,y+1/2,-z'
'x,-y+1/2,z'
loop_
_atom_site_label
_atom_site_type_symbol
_atom_site_fract_x
_atom_site_fract_y
_atom_site_fract_z
Ta1 Ta 0.064 0.250 0.195
Ta2 Ta 0.135 0.750 0.542
Ta3 Ta 0.249 0.750 0.972
Cr1 Cr 0.043 0.750 0.094
Cr2 Cr 0.060 0.010 0.378
Cr3 Cr 0.124 0.250 0.993
Cr4 Cr 0.134 0.007 0.828
Cr5 Cr 0.137 0.250 0.655
Cr6 Cr 0.188 0.750 0.249
Si1 Si 0.003 0.750 0.248
Si2 Si 0.047 0.750 0.944
Si3 Si 0.050 0.250 0.518
Si4 Si 0.090 0.750 0.699
Si5 Si 0.210 0.250 0.305
Si6 Si 0.211 0.501 0.118
Si7 Si 0.226 0.750 0.396

# 2
# ThCr2Si2 | the Materials Project | GGA-PBE | relaxed
# * energy: -7.927 eV/atom
data_ThCr2Si2
_space_group_name_H-M_alt 'I 4/m m m'
_space_group_IT_number 139
_space_group_name_Hall '-I 4 2'
_cell_length_a 4.004
_cell_length_b 4.004
_cell_length_c 10.576
_cell_angle_alpha 90.00
_cell_angle_beta 90.00
_cell_angle_gamma 90.00
loop_
_atom_site_label
_atom_site_type_symbol
_atom_site_fract_x
_atom_site_fract_y
_atom_site_fract_z
Th1 Th 0.000 0.000 0.000
Cr1 Cr 0.000 0.500 0.250
Si1 Si 0.000 0.000 0.378

# 3
# Ti2CrSi6 | the Materials Project | GGA-PBE | relaxed
# * energy: -6.904 eV/atom
data_Ti2CrSi6
_space_group_name_H-M_alt 'C 2 2 2'
_space_group_IT_number 21
_cell_length_a 4.626
_cell_length_b 8.107
_cell_length_c 6.443
_cell_angle_alpha 90.00
_cell_angle_beta 90.00
_cell_angle_gamma 90.00
loop_
_space_group_symop_operation_xyz
'x,y,z'
'-x,-y,z'
'x,-y,-z'
'-x,y,-z'
'x+1/2,y+1/2,z'
'-x+1/2,-y+1/2,z'
'x+1/2,-y+1/2,-z'
'-x+1/2,y+1/2,-z'
loop_
_atom_site_label
_atom_site_type_symbol
_atom_site_fract_x
_atom_site_fract_y
_atom_site_fract_z
Ti1 Ti 0.250 0.250 0.165
Cr1 Cr 0.000 0.000 0.500
Si1 Si 0.000 0.335 0.500
Si2 Si 0.241 0.421 0.827

What did we get for total magnetization? Answer: 0.0872 0.4050 0.0000 μB per atom, in the order shown.
What did we get for ΔE_f? Answer: -0.379 -0.385 -0.413 eV per atom, in the order shown.
What did we get for E (MP2020)? Answer: -8.6005 -7.8989 -6.8566 eV per atom, in the order shown.